Record 1
Mg2NCl | the Materials Project database | r2SCAN | relaxed; uncorrected energy = -7.27 eV per atom; total magnetic moment = 0.00 Bohr magnetons per cell; formation energy from the elements = -5.5 eV per formula unit
1.0
-2.398 0.761 2.123
-0.664 -0.241 -3.216
-3.673 -17.303 2.057
Mg N Cl
6 3 3
Cartesian
-2.853 -13.442 1.598
-0.820 -3.861 0.459
-2.225 -1.479 0.570
-4.510 -15.304 0.394
-2.871 -7.581 -0.524
-3.864 -9.202 1.488
-1.854 -2.791 -1.093
-1.837 -8.652 1.028
-4.881 -13.992 2.058
-3.044 -5.341 1.029
0.000 0.000 0.000
-3.691 -11.443 -0.065


Record 2
Na6MgCl8 | the Materials Project database | r2SCAN | relaxed; uncorrected energy = -7.04 eV per atom; total magnetic moment = 0.00 Bohr magnetons per cell; formation energy from the elements = -30.8 eV per formula unit
1.0
-4.645 3.466 -9.471
3.034 -9.464 -4.952
-9.618 -4.659 3.012
Cl Na Mg
32 24 4
Cartesian
-6.440 -2.751 -4.357
-2.807 -2.664 -2.853
-3.983 -4.906 0.158
-4.350 -6.272 -3.127
-6.879 -4.384 -8.284
-8.189 0.193 -5.386
0.691 -2.155 -1.128
-1.290 -7.396 -5.328
-8.422 -7.992 -8.558
-6.099 -9.725 -3.823
-2.190 -1.061 0.686
-1.863 -2.209 -9.368
-9.939 -3.260 -6.082
-0.115 -5.154 -8.339
-5.483 -8.122 -0.284
0.252 -3.788 -5.054
-1.496 -0.843 -6.083
-2.996 -4.060 -6.525
-4.941 0.465 -3.915
-5.130 -0.931 -7.588
-1.058 0.789 -2.157
-2.601 -9.216 -2.098
-3.587 2.677 -7.314
-9.322 -1.657 -2.544
2.343 -7.308 -3.824
-4.789 -7.905 -7.053
-7.428 -3.598 2.326
-1.102 -6.000 -1.656
-6.074 -1.386 -1.073
-8.233 -6.596 -4.885
-3.613 -5.663 -10.064
-7.616 -4.993 -1.347
-6.858 -7.359 -2.585
-6.455 -5.860 1.021
-7.534 -2.096 -6.835
-1.646 -3.531 -0.485
-3.566 -0.298 -1.615
-3.695 -8.560 -4.575
-2.049 -5.030 -4.091
-3.968 -1.797 -5.220
-10.697 -0.894 -4.844
-4.938 -10.592 -1.455
1.114 -6.231 -6.081
-6.017 -6.827 -9.311
-5.888 1.435 -6.350
-8.777 -4.127 -3.714
-1.208 -4.498 -10.817
-7.261 -8.859 -6.190
-0.129 -8.262 -2.961
-0.403 -1.499 -3.606
-2.452 -6.529 -7.696
-9.180 -5.626 -7.320
-8.375 -2.628 -0.109
-5.212 -3.829 -2.100
-2.725 0.234 -8.341
-4.371 -3.297 -8.826
-3.292 -7.061 -0.970
-0.806 -2.999 -7.211
-7.131 -0.596 -3.229
0.000 0.000 0.000


Record 3
NaMgCl3 | the Materials Project database | r2SCAN | relaxed; uncorrected energy = -7.30 eV per atom; total magnetic moment = 0.00 Bohr magnetons per cell; formation energy from the elements = -10.3 eV per formula unit
1.0
-4.143 -4.259 -2.686
4.414 -2.041 4.344
-12.017 3.078 13.657
Cl Na Mg
18 6 6
Cartesian
-2.870 -1.122 4.111
-8.877 -2.101 11.204
-1.598 -4.078 5.896
-3.428 -4.717 -0.028
-10.149 0.855 9.419
-9.320 -1.851 15.216
-3.581 0.393 6.994
-8.166 -3.616 8.320
-2.427 -1.372 0.099
-4.582 -2.951 6.867
-9.791 -1.230 6.353
-0.081 -0.778 6.487
-8.319 1.494 15.343
-1.956 -1.993 8.962
-0.802 -3.758 2.066
-10.945 0.535 13.248
-7.165 -0.271 8.448
-11.666 -2.445 8.828
-3.538 -2.944 2.211
-4.692 -1.179 9.107
-8.209 -0.279 13.104
-10.259 2.627 11.658
-7.055 -2.044 6.208
-1.759 0.450 1.998
-9.383 -1.448 8.853
-4.086 1.046 4.643
-13.228 -0.463 13.223
-7.932 2.031 9.014
1.481 -2.760 2.092
-2.364 -1.775 6.462


Record 4
RbMgCl3 | the Materials Project database | r2SCAN | relaxed; uncorrected energy = -9.47 eV per atom; total magnetic moment = 0.00 Bohr magnetons per cell; formation energy from the elements = -10.8 eV per formula unit
1.0
7.095 0.000 0.000
-3.548 6.145 0.000
0.000 0.000 11.869
Rb Mg Cl
4 4 12
Cartesian
0.000 0.000 0.000
0.000 0.000 5.935
0.000 4.097 2.967
3.548 2.048 8.902
0.000 4.097 7.338
0.000 4.097 10.466
3.548 2.048 1.403
3.548 2.048 4.532
-1.774 3.072 0.000
-1.774 3.072 5.935
0.000 2.139 8.902
-1.695 5.075 8.902
1.853 1.070 2.967
3.548 0.000 0.000
3.548 0.000 5.935
1.774 3.072 0.000
1.774 3.072 5.935
1.695 5.075 8.902
5.243 1.070 2.967
3.548 4.006 2.967


Record 5
RbMgCl3 | the Materials Project database | r2SCAN | relaxed; uncorrected energy = -9.47 eV per atom; total magnetic moment = 0.00 Bohr magnetons per cell; formation energy from the elements = -10.8 eV per formula unit
1.0
7.095 0.000 0.000
-3.548 6.145 0.000
0.000 0.000 17.609
Rb Mg Cl
6 6 18
Cartesian
0.000 0.000 4.402
0.000 0.000 13.207
0.000 4.096 1.559
0.000 4.096 7.245
3.548 2.048 10.363
3.548 2.048 16.050
0.000 0.000 0.000
0.000 0.000 8.804
0.000 4.096 11.627
0.000 4.096 14.786
3.548 2.048 2.823
3.548 2.048 5.981
-1.692 3.120 13.207
0.000 2.040 10.244
0.000 2.040 16.169
-1.781 5.125 10.244
-1.781 5.125 16.169
1.767 1.020 1.440
1.767 1.020 7.365
1.692 3.120 13.207
0.000 6.050 13.207
3.548 0.095 4.402
1.856 3.025 4.402
1.781 5.125 10.244
1.781 5.125 16.169
5.329 1.020 1.440
5.329 1.020 7.365
3.548 4.105 1.440
3.548 4.105 7.365
5.239 3.025 4.402


Record 6
Na6MnCl8 | the Materials Project database | r2SCAN | relaxed; uncorrected energy = -7.64 eV per atom; total magnetic moment = 5.00 Bohr magnetons per cell; formation energy from the elements = -29.3 eV per formula unit
1.0
0.000 5.562 5.562
5.562 0.000 5.562
5.562 5.562 0.000
Na Mn Cl
6 1 8
Cartesian
2.781 2.781 0.000
2.781 0.000 2.781
5.562 2.781 2.781
0.000 2.781 2.781
2.781 5.562 2.781
2.781 2.781 5.562
0.000 0.000 0.000
5.562 5.562 2.556
5.562 2.556 5.562
8.569 5.562 5.562
2.781 2.781 2.781
8.344 8.344 8.344
2.556 5.562 5.562
5.562 8.569 5.562
5.562 5.562 8.569